Record 1
# CuGeO3

A geometry-optimized CuGeO3 structure (PBE, the Materials Project database).

Summary:
total DFT energy (no corrections) = -5.588 eV per atom
ΔE_f = -621 kJ/mol of formula units

Cell: 11.703 3.017 4.409 Å, 90.00 90.00 90.00°
Sites, in units of the cell vectors:
Cu: 0.000 0.000 0.000
Cu: 0.500 0.000 0.000
Ge: 0.250 0.000 0.063
Ge: 0.750 0.000 0.937
O: 0.117 0.000 0.259
O: 0.250 0.500 0.841
O: 0.383 0.000 0.259
O: 0.617 0.000 0.741
O: 0.750 0.500 0.159
O: 0.883 0.000 0.741

Record 2
# CuGe5Pb3O14

A geometry-optimized CuGe5Pb3O14 structure (PBE, the Materials Project database).

Summary:
total DFT energy (no corrections) = -6.142 eV per atom
ΔE_f = -4173 kJ/mol of formula units

Cell: 10.006 10.006 10.551 Å, 120.84 120.84 48.81°
Sites, in units of the cell vectors:
Cu: 0.000 0.000 0.000
Cu: 0.000 0.000 0.500
Ge: 0.155 0.520 0.366
Ge: 0.172 0.581 0.845
Ge: 0.216 0.784 0.750
Ge: 0.419 0.828 0.655
Ge: 0.480 0.845 0.134
Ge: 0.520 0.155 0.866
Ge: 0.581 0.172 0.345
Ge: 0.784 0.216 0.250
Ge: 0.828 0.419 0.155
Ge: 0.845 0.480 0.634
Pb: 0.156 0.217 0.939
Pb: 0.217 0.156 0.439
Pb: 0.352 0.648 0.250
Pb: 0.648 0.352 0.750
Pb: 0.783 0.844 0.561
Pb: 0.844 0.783 0.061
O: 0.002 0.452 0.320
O: 0.004 0.868 0.787
O: 0.096 0.751 0.013
O: 0.097 0.707 0.530
O: 0.122 0.572 0.214
O: 0.132 0.996 0.713
O: 0.249 0.904 0.487
O: 0.293 0.903 0.970
O: 0.319 0.376 0.914
O: 0.327 0.562 0.793
O: 0.376 0.319 0.414
O: 0.428 0.878 0.286
O: 0.438 0.673 0.707
O: 0.452 0.002 0.820
O: 0.548 0.998 0.180
O: 0.562 0.327 0.293
O: 0.572 0.122 0.714
O: 0.624 0.681 0.586
O: 0.673 0.438 0.207
O: 0.681 0.624 0.086
O: 0.707 0.097 0.030
O: 0.751 0.096 0.513
O: 0.868 0.004 0.287
O: 0.878 0.428 0.786
O: 0.903 0.293 0.470
O: 0.904 0.249 0.987
O: 0.996 0.132 0.213
O: 0.998 0.548 0.680